The following is a GGA-PBE calculation of a relaxed structure of Cs2ZrF6, from the Materials Project.

abc: 6.5223 6.5223 5.1438
angles: 90.00 90.00 120.00
Closest atoms and distances in Å follow each position.
Atoms (fractional coordinates):
Cs (0.6667, 0.3333, 0.3085)  12 F 3.18-3.41
Cs (0.3333, 0.6667, 0.6915)  12 F 3.18-3.41
Zr (0.0000, 0.0000, 0.0000)  6 F 2.05
F (0.8487, 0.1513, 0.7804)  1 Zr 2.05
F (0.8487, 0.6973, 0.7804)  1 Zr 2.05
F (0.3027, 0.1513, 0.7804)  1 Zr 2.05
F (0.1513, 0.8487, 0.2196)  1 Zr 2.05
F (0.1513, 0.3027, 0.2196)  1 Zr 2.05
F (0.6973, 0.8487, 0.2196)  1 Zr 2.05

Energy   -52.11 eV for the cell shown